P) 6
Lattice="-0.072 3.187 -3.907 0.283 -3.230 -2.640 -4.171 -0.257 -0.133" Properties=species:S:1:pos:R:3 comment="PBE BaLiZrO3, relaxed" space_group="P4/mmm (123)" m_tot_mub_per_cell=0.292 pbc="T T T"
O 0.105 -0.021 -3.274
Li -0.036 1.594 -1.953
Zr -1.980 -0.150 -3.340
O -1.944 -1.743 -1.386
Ba 0.000 0.000 0.000
O -2.121 1.465 -2.020



Q) 6
Lattice="4.441 -0.291 -0.291 -0.291 4.441 0.291 -0.291 0.291 4.441" Properties=species:S:1:pos:R:3 comment="PBE BaLiZrO3, relaxed" space_group="R3m (160)" m_tot_mub_per_cell=0.000 pbc="T T T"
O 4.029 2.156 2.156
Li 3.208 0.942 0.942
O 1.994 0.120 2.156
Ba -0.179 4.329 4.329
Zr 1.786 2.363 2.363
O 1.994 2.156 0.120



Consider the structures shown above. The least stable of them is P).